Lu3Si13Os4: optimized geometry, PBE.

Unit cell a=8.760 b=8.760 c=8.760 alpha=90.00 beta=90.00 gamma=90.00
Space group Pm-3n (No. 223)
Unique sites:
Lu: 0.000 0.250 0.500 (multiplicity 6)
Si: 0.000 0.000 0.000 (multiplicity 2)
Si: 0.000 0.284 0.138 (multiplicity 24)
Os: 0.250 0.250 0.250 (multiplicity 8)

Calculated values
* magnetization: 0.00 μB per cell


La3Se4: optimized geometry, PBE.

Unit cell a=9.096 b=9.096 c=9.096 alpha=90.00 beta=90.00 gamma=90.00
Space group I-43d (No. 220)
Unique sites:
La: 0.000 0.250 0.375 (multiplicity 12)
Se: 0.075 0.075 0.075 (multiplicity 16)


Mg14CoCu: optimized geometry, PBE.

Unit cell a=6.2016 b=6.2016 c=9.6505 alpha=90.00 beta=90.00 gamma=120.00
Space group P-6m2 (No. 187)
Unique sites:
Mg: 0.0000 0.0000 0.2488 (multiplicity 2)
Mg: 0.0173 0.5086 0.2530 (multiplicity 6)
Mg: 0.3334 0.1667 0.0000 (multiplicity 3)
Mg: 0.3332 0.1666 0.5000 (multiplicity 3)
Co: 0.3333 0.6667 0.5000 (multiplicity 1)
Cu: 0.3333 0.6667 0.0000 (multiplicity 1)

Calculated values
* magnetization: 0.06 μB per cell


BaCaEuNbO6: optimized geometry, PBE.

Unit cell a=8.433 b=8.470 c=8.484 alpha=90.00 beta=90.00 gamma=90.00
Space group P222 (No. 16)
Unique sites:
Ba: 0.000 0.000 0.000 (multiplicity 1)
Ba: 0.000 0.000 0.500 (multiplicity 1)
Ba: 0.500 0.000 0.000 (multiplicity 1)
Ba: 0.500 0.500 0.000 (multiplicity 1)
Ca: 0.000 0.500 0.000 (multiplicity 1)
Ca: 0.000 0.500 0.500 (multiplicity 1)
Ca: 0.500 0.000 0.500 (multiplicity 1)
Ca: 0.500 0.500 0.500 (multiplicity 1)
Eu: 0.247 0.255 0.253 (multiplicity 4)
Nb: 0.253 0.255 0.742 (multiplicity 4)
O: 0.019 0.295 0.694 (multiplicity 4)
O: 0.205 0.300 0.978 (multiplicity 4)
O: 0.219 0.020 0.778 (multiplicity 4)
O: 0.296 0.485 0.693 (multiplicity 4)
O: 0.297 0.198 0.515 (multiplicity 4)
O: 0.484 0.232 0.793 (multiplicity 4)

Calculated values
* magnetization: 24.00 μB per cell
* polymorph energy (0 for the lowest one): 0.0000 eV/atom


ThMg16Al12: optimized geometry, PBE.

Unit cell a=10.593 b=10.593 c=10.593 alpha=90.00 beta=90.00 gamma=90.00
Space group I-43m (No. 217)
Unique sites:
Th: 0.000 0.000 0.000 (multiplicity 2)
Mg: 0.038 0.358 0.642 (multiplicity 24)
Mg: 0.183 0.183 0.183 (multiplicity 8)
Al: 0.092 0.092 0.722 (multiplicity 24)

Calculated values
* magnetization: 0.35 μB per cell
* polymorph energy (0 for the lowest one): 0.0000 eV/atom


ErSb: optimized geometry, PBE.

Unit cell a=3.774 b=3.774 c=3.774 alpha=90.00 beta=90.00 gamma=90.00
Space group Pm-3m (No. 221)
Unique sites:
Er: 0.000 0.000 0.000 (multiplicity 1)
Sb: 0.500 0.500 0.500 (multiplicity 1)

Calculated values
* magnetization: 0.00 μB per cell


La4NiS7: optimized geometry, PBE.

Unit cell a=9.9331 b=9.9331 c=7.0658 alpha=90.00 beta=90.00 gamma=120.00
Space group P6_3 (No. 173)
Unique sites:
La: 0.1500 0.7786 0.0000 (multiplicity 6)
La: 0.3333 0.6667 0.5363 (multiplicity 2)
Ni: 0.0000 0.0000 0.2197 (multiplicity 2)
S: 0.0739 0.5101 0.7569 (multiplicity 6)
S: 0.0959 0.8700 0.3863 (multiplicity 6)
S: 0.3333 0.6667 0.1524 (multiplicity 2)

Calculated values
* magnetization: 4.00 μB per cell


Mg14TiBi: optimized geometry, PBE.

Unit cell a=10.358 b=6.319 c=11.134 alpha=90.00 beta=90.00 gamma=90.00
Space group Amm2 (No. 38)
Unique sites:
Mg: 0.000 0.000 0.000 (multiplicity 2)
Mg: 0.000 0.000 0.500 (multiplicity 2)
Mg: 0.000 0.250 0.250 (multiplicity 4)
Mg: 0.246 0.000 0.169 (multiplicity 4)
Mg: 0.249 0.244 0.416 (multiplicity 8)
Mg: 0.252 0.000 0.664 (multiplicity 4)
Mg: 0.500 0.248 0.749 (multiplicity 4)
Ti: 0.500 0.000 0.499 (multiplicity 2)
Bi: 0.500 0.000 0.001 (multiplicity 2)

Calculated values
* magnetization: 2.98 μB per cell
* polymorph energy (0 for the lowest one): 0.0000 eV/atom


ZrNCl: optimized geometry, PBE.

Unit cell a=3.6466 b=3.6466 c=28.6941 alpha=90.00 beta=90.00 gamma=120.00
Space group R-3m (No. 166, hexagonal axes)
Unique sites:
Zr: 0.0000 0.0000 0.1207 (multiplicity 6)
N: 0.0000 0.0000 0.1969 (multiplicity 6)
Cl: 0.0000 0.0000 0.3907 (multiplicity 6)


Na2Si3Sn4S3O24: optimized geometry, PBE.

Unit cell a=8.828 b=8.853 c=23.066 alpha=90.64 beta=90.62 gamma=119.81
Space group P1 (No. 1)
Unique sites:
Na: 0.000 0.000 0.000 (multiplicity 1)
Na: 0.003 0.060 0.489 (multiplicity 1)
Na: 0.346 0.678 0.329 (multiplicity 1)
Na: 0.359 0.722 0.838 (multiplicity 1)
Na: 0.681 0.351 0.663 (multiplicity 1)
Na: 0.695 0.391 0.171 (multiplicity 1)
Si: 0.037 0.412 0.580 (multiplicity 1)
Si: 0.037 0.697 0.081 (multiplicity 1)
Si: 0.368 0.070 0.915 (multiplicity 1)
Si: 0.372 0.348 0.413 (multiplicity 1)
Si: 0.653 0.646 0.915 (multiplicity 1)
Si: 0.655 0.062 0.415 (multiplicity 1)
Si: 0.700 0.032 0.748 (multiplicity 1)
Si: 0.700 0.729 0.248 (multiplicity 1)
Si: 0.991 0.315 0.247 (multiplicity 1)
Sn: 0.318 0.682 0.188 (multiplicity 1)
Sn: 0.328 0.698 0.683 (multiplicity 1)
Sn: 0.329 0.679 0.473 (multiplicity 1)
Sn: 0.329 0.706 0.978 (multiplicity 1)
Sn: 0.648 0.347 0.816 (multiplicity 1)
Sn: 0.660 0.353 0.310 (multiplicity 1)
Sn: 0.661 0.371 0.018 (multiplicity 1)
Sn: 0.668 0.355 0.512 (multiplicity 1)
Sn: 0.978 0.008 0.149 (multiplicity 1)
Sn: 0.979 0.011 0.855 (multiplicity 1)
Sn: 0.985 0.041 0.351 (multiplicity 1)
Sn: 0.988 0.046 0.644 (multiplicity 1)
S: 0.283 0.026 0.248 (multiplicity 1)
S: 0.285 0.319 0.748 (multiplicity 1)
S: 0.324 0.399 0.081 (multiplicity 1)
S: 0.324 0.989 0.584 (multiplicity 1)
S: 0.623 0.991 0.081 (multiplicity 1)
S: 0.624 0.692 0.583 (multiplicity 1)
S: 0.953 0.658 0.415 (multiplicity 1)
S: 0.954 0.361 0.915 (multiplicity 1)
S: 0.994 0.738 0.746 (multiplicity 1)
O: 0.019 0.873 0.086 (multiplicity 1)
O: 0.022 0.218 0.583 (multiplicity 1)
O: 0.027 0.846 0.799 (multiplicity 1)
O: 0.039 0.244 0.305 (multiplicity 1)
O: 0.120 0.518 0.642 (multiplicity 1)
O: 0.128 0.673 0.422 (multiplicity 1)
O: 0.129 0.515 0.920 (multiplicity 1)
O: 0.133 0.674 0.138 (multiplicity 1)
O: 0.147 0.720 0.022 (multiplicity 1)
O: 0.151 0.717 0.743 (multiplicity 1)
O: 0.158 0.513 0.244 (multiplicity 1)
O: 0.158 0.995 0.591 (multiplicity 1)
O: 0.161 0.508 0.526 (multiplicity 1)
O: 0.166 0.228 0.084 (multiplicity 1)
O: 0.178 0.003 0.299 (multiplicity 1)
O: 0.181 0.068 0.908 (multiplicity 1)
O: 0.183 0.236 0.799 (multiplicity 1)
O: 0.184 0.167 0.409 (multiplicity 1)
O: 0.205 0.048 0.193 (multiplicity 1)
O: 0.211 0.213 0.693 (multiplicity 1)
O: 0.298 0.493 0.743 (multiplicity 1)
O: 0.300 0.883 0.532 (multiplicity 1)
O: 0.304 0.871 0.244 (multiplicity 1)
O: 0.307 0.483 0.027 (multiplicity 1)
O: 0.335 0.871 0.919 (multiplicity 1)
O: 0.340 0.517 0.416 (multiplicity 1)
O: 0.357 0.510 0.133 (multiplicity 1)
O: 0.358 0.915 0.638 (multiplicity 1)
O: 0.456 0.183 0.251 (multiplicity 1)
O: 0.456 0.338 0.477 (multiplicity 1)
O: 0.460 0.184 0.973 (multiplicity 1)
O: 0.465 0.345 0.750 (multiplicity 1)
O: 0.471 0.653 0.922 (multiplicity 1)
O: 0.471 0.878 0.423 (multiplicity 1)
O: 0.474 0.168 0.581 (multiplicity 1)
O: 0.481 0.138 0.856 (multiplicity 1)
O: 0.481 0.377 0.078 (multiplicity 1)
O: 0.497 0.389 0.360 (multiplicity 1)
O: 0.505 0.854 0.742 (multiplicity 1)
O: 0.517 0.734 0.241 (multiplicity 1)
O: 0.519 0.907 0.132 (multiplicity 1)
O: 0.525 0.674 0.637 (multiplicity 1)
O: 0.547 0.728 0.532 (multiplicity 1)
O: 0.548 0.884 0.027 (multiplicity 1)
O: 0.631 0.153 0.359 (multiplicity 1)
O: 0.632 0.541 0.853 (multiplicity 1)
O: 0.634 0.163 0.076 (multiplicity 1)
O: 0.637 0.534 0.578 (multiplicity 1)
O: 0.667 0.531 0.254 (multiplicity 1)
O: 0.685 0.209 0.753 (multiplicity 1)
O: 0.700 0.570 0.971 (multiplicity 1)
O: 0.704 0.175 0.477 (multiplicity 1)
O: 0.791 0.000 0.805 (multiplicity 1)
O: 0.794 0.847 0.306 (multiplicity 1)
O: 0.802 0.016 0.084 (multiplicity 1)
O: 0.806 0.845 0.588 (multiplicity 1)
O: 0.809 0.060 0.689 (multiplicity 1)
O: 0.809 0.321 0.252 (multiplicity 1)
O: 0.811 0.796 0.189 (multiplicity 1)
O: 0.821 0.028 0.412 (multiplicity 1)
O: 0.821 0.844 0.912 (multiplicity 1)
O: 0.835 0.565 0.750 (multiplicity 1)
O: 0.844 0.394 0.577 (multiplicity 1)
O: 0.844 0.516 0.078 (multiplicity 1)
O: 0.846 0.333 0.966 (multiplicity 1)
O: 0.852 0.584 0.470 (multiplicity 1)
O: 0.874 0.546 0.364 (multiplicity 1)
O: 0.879 0.391 0.861 (multiplicity 1)
O: 0.971 0.205 0.186 (multiplicity 1)
O: 0.972 0.205 0.909 (multiplicity 1)
O: 0.974 0.830 0.410 (multiplicity 1)
O: 0.975 0.822 0.693 (multiplicity 1)

Calculated values
* magnetization: 0.00 μB per cell


TbRh2Pb: optimized geometry, PBE.

Unit cell a=6.762 b=6.762 c=6.762 alpha=90.00 beta=90.00 gamma=90.00
Space group Fm-3m (No. 225)
Unique sites:
Tb: 0.000 0.000 0.000 (multiplicity 4)
Rh: 0.250 0.250 0.250 (multiplicity 8)
Pb: 0.000 0.000 0.500 (multiplicity 4)


| no. | ΔH_f (0 K) (eV/atom) |
| --- | --- |
| 1 | -0.451 |
| 2 | -2.284 |
| 3 | 0.079 |
| 4 | -3.200 |
| 5 | -0.058 |
| 6 | -0.835 |
| 7 | -2.029 |
| 8 | 0.021 |
| 9 | -1.969 |
| 10 | -2.250 |
| 11 | -0.546 |